No. 1
The following is a DFT calculation (GGA+U) of a geometry-optimized LiFeF3 structure.

abc: 5.653 19.705 9.138
angles: 90.00 90.00 90.00
Space group Pbca (No. 61)
One atom of each set of equivalent atoms:
Li (0.035, 0.227, 0.164) [8 per cell]
Li (0.174, 0.532, 0.335) [8 per cell]
Fe (0.163, 0.622, 0.658) [8 per cell]
Fe (0.167, 0.621, 0.032) [8 per cell]
F (0.005, 0.176, 0.658) [8 per cell]
F (0.017, 0.178, 0.983) [8 per cell]
F (0.150, 0.071, 0.492) [8 per cell]
F (0.152, 0.694, 0.186) [8 per cell]
F (0.153, 0.053, 0.163) [8 per cell]
F (0.183, 0.069, 0.831) [8 per cell]

## Properties
As for the energy of formation from the pure elements: -2780.6 meV per atom. For the total DFT energy (no corrections), the calculation gives -5.277 eV/atom. The total magnetic moment is 4.00 μB per formula unit.

---

No. 2
The following is a DFT calculation (GGA+U) of a geometry-optimized Li2FeF5 structure.

abc: 5.272 5.712 7.015
angles: 106.66 93.29 114.37
Space group P1 (No. 1)
One atom of each set of equivalent atoms:
Li (0.000, 0.000, 0.000) [1 per cell]
Li (0.010, 0.006, 0.500) [1 per cell]
Li (0.316, 0.673, 0.771) [1 per cell]
Li (0.701, 0.338, 0.228) [1 per cell]
Fe (0.388, 0.757, 0.275) [1 per cell]
Fe (0.631, 0.254, 0.724) [1 per cell]
F (0.078, 0.398, 0.182) [1 per cell]
F (0.158, 0.934, 0.235) [1 per cell]
F (0.308, 0.852, 0.567) [1 per cell]
F (0.355, 0.357, 0.632) [1 per cell]
F (0.479, 0.218, 0.961) [1 per cell]
F (0.543, 0.793, 0.038) [1 per cell]
F (0.664, 0.654, 0.367) [1 per cell]
F (0.711, 0.159, 0.431) [1 per cell]
F (0.859, 0.075, 0.764) [1 per cell]
F (0.941, 0.613, 0.816) [1 per cell]

## Properties
As for the energy of formation from the pure elements: -2905.0 meV per atom. For the total DFT energy (no corrections), the calculation gives -5.067 eV/atom. The total magnetic moment is 5.00 μB per formula unit.

---

What did the second record say?
The following is a DFT calculation (GGA+U) of a geometry-optimized Li2FeF5 structure.

abc: 5.272 5.712 7.015
angles: 106.66 93.29 114.37
Space group P1 (No. 1)
One atom of each set of equivalent atoms:
Li (0.000, 0.000, 0.000) [1 per cell]
Li (0.010, 0.006, 0.500) [1 per cell]
Li (0.316, 0.673, 0.771) [1 per cell]
Li (0.701, 0.338, 0.228) [1 per cell]
Fe (0.388, 0.757, 0.275) [1 per cell]
Fe (0.631, 0.254, 0.724) [1 per cell]
F (0.078, 0.398, 0.182) [1 per cell]
F (0.158, 0.934, 0.235) [1 per cell]
F (0.308, 0.852, 0.567) [1 per cell]
F (0.355, 0.357, 0.632) [1 per cell]
F (0.479, 0.218, 0.961) [1 per cell]
F (0.543, 0.793, 0.038) [1 per cell]
F (0.664, 0.654, 0.367) [1 per cell]
F (0.711, 0.159, 0.431) [1 per cell]
F (0.859, 0.075, 0.764) [1 per cell]
F (0.941, 0.613, 0.816) [1 per cell]

## Properties
As for the energy of formation from the pure elements: -2905.0 meV per atom. For the total DFT energy (no corrections), the calculation gives -5.067 eV/atom. The total magnetic moment is 5.00 μB per formula unit.